Te2MoW3Se2S4 | PBE | relaxed

Computed properties:
- Magnetic moment: 0.0 μB/f.u.
- ΔE to the lowest computed polymorph: 0.01 eV/f.u.
- ΔH_f (0 K): -8.8 eV/f.u.

Cell: 3.3040 3.3040 37.6615 Å, 90.00 90.00 120.00°
Space group P3m1 (No. 156)
One atom of each set of equivalent atoms:
Te 0.0000 0.0000 0.0000 x1
Te 0.0000 0.0000 0.1015 x1
Mo 0.3333 0.6667 0.0508 x1
W 0.0000 0.0000 0.2386 x1
W 0.0000 0.0000 0.8629 x1
W 0.3333 0.6667 0.4265 x1
Se 0.0000 0.0000 0.3817 x1
Se 0.0000 0.0000 0.4713 x1
S 0.3333 0.6667 0.1979 x1
S 0.3333 0.6667 0.2794 x1
S 0.3333 0.6667 0.8221 x1
S 0.3333 0.6667 0.9036 x1


Te2MoW3Se2S4 | PBE | relaxed

Computed properties:
- Magnetic moment: 0.0 μB/f.u.
- ΔE to the lowest computed polymorph: 0.45 eV/f.u.
- ΔH_f (0 K): -8.3 eV/f.u.

Cell: 3.3074 3.3074 39.2769 Å, 90.00 90.00 120.00°
Space group P3m1 (No. 156)
One atom of each set of equivalent atoms:
Te 0.0000 0.0000 0.0000 x1
Te 0.0000 0.0000 0.0980 x1
Mo 0.0000 0.0000 0.8618 x1
W 0.0000 0.0000 0.2396 x1
W 0.6667 0.3333 0.0490 x1
W 0.6667 0.3333 0.6744 x1
Se 0.6667 0.3333 0.1965 x1
Se 0.6667 0.3333 0.2826 x1
S 0.0000 0.0000 0.6353 x1
S 0.0000 0.0000 0.7134 x1
S 0.6667 0.3333 0.8229 x1
S 0.6667 0.3333 0.9006 x1


Te2Mo3WSe2S4 | PBE | relaxed

Computed properties:
- Magnetic moment: 0.0 μB/f.u.
- ΔE to the lowest computed polymorph: 0.02 eV/f.u.
- ΔH_f (0 K): -9.3 eV/f.u.

Cell: 3.3072 3.3072 37.5938 Å, 90.00 90.00 120.00°
Space group P3m1 (No. 156)
One atom of each set of equivalent atoms:
Te 0.0000 0.0000 0.0000 x1
Te 0.0000 0.0000 0.1016 x1
Mo 0.0000 0.0000 0.4871 x1
Mo 0.0000 0.0000 0.8628 x1
Mo 0.3333 0.6667 0.0508 x1
W 0.3333 0.6667 0.6750 x1
Se 0.3333 0.6667 0.8183 x1
Se 0.3333 0.6667 0.9074 x1
S 0.0000 0.0000 0.6342 x1
S 0.0000 0.0000 0.7158 x1
S 0.3333 0.6667 0.4464 x1
S 0.3333 0.6667 0.5279 x1